No. 1
VASP calculation (PBE) on UNi3P2 after structural relaxation.

Cell: 10.466 12.378 3.761 Å, 90.00 90.00 90.00°
Fractional coordinates of all 36 atoms:
1 U 0.000 0.023 0.000
2 U 0.185 0.295 0.000
3 U 0.315 0.705 0.500
4 U 0.500 0.977 0.500
5 U 0.685 0.705 0.500
6 U 0.815 0.295 0.000
7 Ni 0.000 0.201 0.527
8 Ni 0.000 0.484 0.997
9 Ni 0.000 0.658 0.498
10 Ni 0.120 0.793 0.998
11 Ni 0.169 0.495 0.498
12 Ni 0.203 0.932 0.497
13 Ni 0.297 0.068 0.997
14 Ni 0.331 0.505 0.998
15 Ni 0.380 0.207 0.498
16 Ni 0.500 0.342 0.998
17 Ni 0.500 0.516 0.497
18 Ni 0.500 0.799 0.027
19 Ni 0.620 0.207 0.498
20 Ni 0.669 0.505 0.998
21 Ni 0.703 0.068 0.997
22 Ni 0.797 0.932 0.497
23 Ni 0.831 0.495 0.498
24 Ni 0.880 0.793 0.998
25 P 0.000 0.379 0.497
26 P 0.000 0.846 0.498
27 P 0.152 0.609 0.998
28 P 0.188 0.116 0.497
29 P 0.312 0.884 0.997
30 P 0.348 0.391 0.498
31 P 0.500 0.154 0.998
32 P 0.500 0.621 0.997
33 P 0.652 0.391 0.498
34 P 0.688 0.884 0.997
35 P 0.812 0.116 0.497
36 P 0.848 0.609 0.998

Computed properties:
V: 13.535 A^3/atom
final energy: -7.32 eV/atom
energy of formation: -0.743 eV per atom

No. 2
VASP calculation (PBE) on Sm4Fe31Si3 after structural relaxation.

Cell: 6.383 6.401 12.773 Å, 82.83 82.87 82.88°
Fractional coordinates of all 38 atoms:
1 Sm 0.000 0.000 0.000
2 Sm 0.000 0.001 0.500
3 Sm 0.316 0.318 0.659
4 Sm 0.318 0.320 0.159
5 Fe 0.154 0.661 0.329
6 Fe 0.157 0.658 0.829
7 Fe 0.315 0.316 0.907
8 Fe 0.315 0.814 0.657
9 Fe 0.317 0.813 0.159
10 Fe 0.318 0.317 0.407
11 Fe 0.363 0.951 0.328
12 Fe 0.364 0.658 0.474
13 Fe 0.365 0.659 0.975
14 Fe 0.365 0.950 0.829
15 Fe 0.561 0.562 0.281
16 Fe 0.562 0.562 0.781
17 Fe 0.656 0.364 0.976
18 Fe 0.656 0.951 0.682
19 Fe 0.657 0.365 0.475
20 Fe 0.657 0.951 0.182
21 Fe 0.658 0.156 0.830
22 Fe 0.658 0.660 0.078
23 Fe 0.658 0.660 0.577
24 Fe 0.659 0.154 0.329
25 Fe 0.752 0.754 0.877
26 Fe 0.752 0.755 0.375
27 Fe 0.815 0.317 0.159
28 Fe 0.815 0.317 0.658
29 Fe 0.950 0.365 0.830
30 Fe 0.950 0.659 0.182
31 Fe 0.950 0.660 0.682
32 Fe 0.952 0.364 0.329
33 Fe 0.998 0.503 0.001
34 Fe 0.999 0.001 0.751
35 Fe 0.999 0.502 0.499
36 Si 0.503 0.998 0.999
37 Si 0.504 0.998 0.497
38 Si 0.997 0.998 0.252

Computed properties:
V: 13.437 A^3/atom
final energy: -7.94 eV/atom
energy of formation: -0.101 eV per atom

No. 3
VASP calculation (PBE) on Li2GeF6 after structural relaxation.

Cell: 8.563 8.563 4.695 Å, 90.00 90.00 120.00°
Fractional coordinates of all 27 atoms:
1 Li 0.000 0.367 0.000
2 Li 0.000 0.702 0.500
3 Li 0.298 0.298 0.500
4 Li 0.367 0.000 0.000
5 Li 0.633 0.633 0.000
6 Li 0.702 0.000 0.500
7 Ge 0.000 0.000 0.000
8 Ge 0.333 0.667 0.488
9 Ge 0.667 0.333 0.512
10 F 0.096 0.204 0.219
11 F 0.108 0.904 0.219
12 F 0.130 0.580 0.267
13 F 0.204 0.096 0.781
14 F 0.224 0.462 0.708
15 F 0.238 0.776 0.708
16 F 0.420 0.550 0.267
17 F 0.450 0.870 0.267
18 F 0.462 0.224 0.292
19 F 0.538 0.762 0.708
20 F 0.550 0.420 0.733
21 F 0.580 0.130 0.733
22 F 0.762 0.538 0.292
23 F 0.776 0.238 0.292
24 F 0.796 0.892 0.219
25 F 0.870 0.450 0.733
26 F 0.892 0.796 0.781
27 F 0.904 0.108 0.781

Computed properties:
maximum piezoelectric response: 0.152 C/m²
V: 11.040 A^3/atom
final energy: -4.92 eV/atom
energy of formation: -3.016 eV per atom

No. 4
VASP calculation (PBE) on Li6CuF8 after structural relaxation.

Cell: 5.836 5.836 5.983 Å, 117.43 117.43 58.72°
Fractional coordinates of all 15 atoms:
1 Li 0.000 0.000 0.000
2 Li 0.000 0.500 0.000
3 Li 0.157 0.157 0.469
4 Li 0.500 0.000 0.000
5 Li 0.500 0.500 0.000
6 Li 0.843 0.843 0.531
7 Cu 0.500 0.500 0.500
8 F 0.225 0.225 0.226
9 F 0.253 0.743 0.731
10 F 0.257 0.747 0.269
11 F 0.280 0.280 0.822
12 F 0.720 0.720 0.178
13 F 0.743 0.253 0.731
14 F 0.747 0.257 0.269
15 F 0.775 0.775 0.774

Computed properties:
V: 9.857 A^3/atom
final energy: -4.65 eV/atom
energy of formation: -2.841 eV per atom

No. 5
VASP calculation (PBE) on NdP12Os4 after structural relaxation.

Cell: 7.042 7.042 7.042 Å, 109.47 109.47 109.47°
Fractional coordinates of all 17 atoms:
1 Nd 0.000 0.000 0.000
2 P 0.143 0.357 0.500
3 P 0.143 0.643 0.786
4 P 0.214 0.857 0.357
5 P 0.357 0.214 0.857
6 P 0.357 0.500 0.143
7 P 0.500 0.143 0.357
8 P 0.500 0.857 0.643
9 P 0.643 0.500 0.857
10 P 0.643 0.786 0.143
11 P 0.786 0.143 0.643
12 P 0.857 0.357 0.214
13 P 0.857 0.643 0.500
14 Os 0.000 0.000 0.500
15 Os 0.000 0.500 0.000
16 Os 0.500 0.000 0.000
17 Os 0.500 0.500 0.500

Computed properties:
V: 15.814 A^3/atom
final energy: -7.33 eV/atom
energy of formation: -0.591 eV per atom

No. 6
VASP calculation (PBE) on BeNb4 after structural relaxation.

Cell: 6.409 6.409 6.409 Å, 60.00 60.00 60.00°
Fractional coordinates of all 10 atoms:
1 Be 0.125 0.125 0.125
2 Be 0.875 0.875 0.875
3 Nb 0.265 0.265 0.265
4 Nb 0.265 0.265 0.704
5 Nb 0.265 0.704 0.265
6 Nb 0.296 0.735 0.735
7 Nb 0.704 0.265 0.265
8 Nb 0.735 0.296 0.735
9 Nb 0.735 0.735 0.296
10 Nb 0.735 0.735 0.735

Computed properties:
V: 18.613 A^3/atom
final energy: -7.80 eV/atom
energy of formation: 1.032 eV per atom